## A
Na3CaAl3Si3SO16 after structural relaxation. Source: the Materials Project database, functional PBE.

Properties
M_tot	0.00	μB per formula unit

```
data_Na3CaAl3Si3SO16
_chemical_formula_sum 'Na6 Ca2 Al6 Si6 S2 O32'
_cell_length_a 7.829
_cell_length_b 7.854
_cell_length_c 12.816
_cell_angle_alpha 89.88
_cell_angle_beta 89.89
_cell_angle_gamma 70.49
_space_group_name_H-M_alt 'P 1'
_space_group_IT_number 1
loop_
_space_group_symop_operation_xyz
'x,y,z'
loop_
_atom_site_label
_atom_site_type_symbol
_atom_site_fract_x
_atom_site_fract_y
_atom_site_fract_z
_atom_site_occupancy
Na1 Na 0.000 0.000 0.000 1
Na2 Na 0.013 0.993 0.648 1
Na3 Na 0.447 0.183 0.828 1
Na4 Na 0.522 0.486 0.121 1
Na5 Na 0.821 0.563 0.828 1
Na6 Na 0.919 0.692 0.325 1
Ca1 Ca 0.314 0.048 0.327 1
Ca2 Ca 0.497 0.517 0.526 1
Al1 Al 0.193 0.557 0.701 1
Al2 Al 0.316 0.185 0.075 1
Al3 Al 0.446 0.816 0.701 1
Al4 Al 0.689 0.067 0.457 1
Al5 Al 0.821 0.687 0.077 1
Al6 Al 0.935 0.318 0.456 1
Si1 Si 0.198 0.560 0.950 1
Si2 Si 0.311 0.182 0.576 1
Si3 Si 0.446 0.809 0.950 1
Si4 Si 0.695 0.060 0.205 1
Si5 Si 0.825 0.693 0.577 1
Si6 Si 0.942 0.307 0.204 1
S1 S 0.327 0.688 0.330 1
S2 S 0.808 0.198 0.822 1
O1 O 0.016 0.271 0.325 1
O2 O 0.112 0.184 0.133 1
O3 O 0.116 0.182 0.531 1
O4 O 0.229 0.486 0.831 1
O5 O 0.230 0.794 0.424 1
O6 O 0.239 0.786 0.234 1
O7 O 0.275 0.731 0.969 1
O8 O 0.284 0.723 0.666 1
O9 O 0.309 0.397 0.028 1
O10 O 0.310 0.383 0.611 1
O11 O 0.326 0.500 0.336 1
O12 O 0.369 0.024 0.976 1
O13 O 0.372 0.049 0.676 1
O14 O 0.452 0.116 0.476 1
O15 O 0.475 0.127 0.180 1
O16 O 0.518 0.692 0.336 1
O17 O 0.519 0.781 0.831 1
O18 O 0.609 0.697 0.028 1
O19 O 0.623 0.700 0.615 1
O20 O 0.703 0.301 0.731 1
O21 O 0.718 0.994 0.326 1
O22 O 0.721 0.284 0.922 1
O23 O 0.738 0.265 0.476 1
O24 O 0.766 0.236 0.186 1
O25 O 0.809 0.007 0.819 1
O26 O 0.813 0.896 0.130 1
O27 O 0.823 0.890 0.535 1
O28 O 0.874 0.522 0.177 1
O29 O 0.880 0.550 0.479 1
O30 O 0.960 0.630 0.676 1
O31 O 0.982 0.638 0.976 1
O32 O 0.999 0.198 0.818 1
```

---

## B
Na3CaAl3Si3SO16 after structural relaxation. Source: the Materials Project database, functional PBE.

Properties
M_tot	0.00	μB per formula unit

```
data_Na3CaAl3Si3SO16
_chemical_formula_sum 'Na6 Ca2 Al6 Si6 S2 O32'
_cell_length_a 7.861
_cell_length_b 7.867
_cell_length_c 12.937
_cell_angle_alpha 90.39
_cell_angle_beta 90.24
_cell_angle_gamma 109.49
_space_group_name_H-M_alt 'P 1'
_space_group_IT_number 1
loop_
_space_group_symop_operation_xyz
'x,y,z'
loop_
_atom_site_label
_atom_site_type_symbol
_atom_site_fract_x
_atom_site_fract_y
_atom_site_fract_z
_atom_site_occupancy
Na1 Na 0.000 0.000 0.000 1
Na2 Na 0.035 0.035 0.634 1
Na3 Na 0.212 0.592 0.797 1
Na4 Na 0.460 0.449 0.046 1
Na5 Na 0.606 0.211 0.799 1
Na6 Na 0.726 0.092 0.301 1
Ca1 Ca 0.095 0.722 0.299 1
Ca2 Ca 0.563 0.556 0.490 1
Al1 Al 0.107 0.348 0.431 1
Al2 Al 0.209 0.707 0.050 1
Al3 Al 0.358 0.103 0.431 1
Al4 Al 0.595 0.846 0.671 1
Al5 Al 0.711 0.203 0.050 1
Al6 Al 0.850 0.590 0.670 1
Si1 Si 0.085 0.330 0.181 1
Si2 Si 0.217 0.728 0.548 1
Si3 Si 0.334 0.084 0.181 1
Si4 Si 0.581 0.825 0.919 1
Si5 Si 0.733 0.211 0.549 1
Si6 Si 0.833 0.576 0.918 1
S1 S 0.246 0.232 0.817 1
S2 S 0.708 0.700 0.280 1
O1 O 0.027 0.318 0.302 1
O2 O 0.043 0.662 0.955 1
O3 O 0.071 0.251 0.784 1
O4 O 0.083 0.667 0.645 1
O5 O 0.156 0.546 0.152 1
O6 O 0.156 0.585 0.449 1
O7 O 0.211 0.903 0.117 1
O8 O 0.214 0.921 0.502 1
O9 O 0.250 0.211 0.932 1
O10 O 0.253 0.250 0.162 1
O11 O 0.269 0.072 0.764 1
O12 O 0.308 0.302 0.453 1
O13 O 0.313 0.021 0.302 1
O14 O 0.399 0.398 0.789 1
O15 O 0.408 0.711 0.988 1
O16 O 0.418 0.730 0.583 1
O17 O 0.521 0.814 0.798 1
O18 O 0.545 0.154 0.147 1
O19 O 0.571 0.747 0.343 1
O20 O 0.589 0.148 0.453 1
O21 O 0.636 0.622 0.180 1
O22 O 0.668 0.035 0.955 1
O23 O 0.675 0.079 0.648 1
O24 O 0.718 0.401 0.985 1
O25 O 0.732 0.412 0.585 1
O26 O 0.744 0.738 0.938 1
O27 O 0.759 0.754 0.632 1
O28 O 0.772 0.570 0.344 1
O29 O 0.825 0.519 0.798 1
O30 O 0.872 0.865 0.267 1
O31 O 0.915 0.214 0.110 1
O32 O 0.932 0.216 0.510 1
```

---

## C
Na3CaAl3Si3SO16 after structural relaxation. Source: the Materials Project database, functional PBE.

Properties
M_tot	0.00	μB per formula unit

```
data_Na3CaAl3Si3SO16
_chemical_formula_sum 'Na18 Ca6 Al18 Si18 S6 O96'
_cell_length_a 12.8322
_cell_length_b 12.8322
_cell_length_c 15.7904
_cell_angle_alpha 90.00
_cell_angle_beta 90.00
_cell_angle_gamma 120.00
_space_group_name_H-M_alt 'R 3 c'
_space_group_IT_number 161
_space_group_name_Hall 'R 3 -2"c'
loop_
_atom_site_label
_atom_site_type_symbol
_atom_site_fract_x
_atom_site_fract_y
_atom_site_fract_z
_atom_site_occupancy
Na1 Na 0.0596 0.5287 0.0000 1
Ca1 Ca 0.0000 0.0000 0.0860 1
Al1 Al 0.0013 0.2527 0.5160 1
Si1 Si 0.0849 0.4173 0.6832 1
S1 S 0.0000 0.0000 0.2603 1
O1 O 0.0000 0.0000 0.3535 1
O2 O 0.0346 0.3620 0.0797 1
O3 O 0.0422 0.3727 0.5865 1
O4 O 0.0948 0.1980 0.0219 1
O5 O 0.1255 0.0601 0.2240 1
O6 O 0.1981 0.4023 0.7150 1
```

---

## D
Na3CaAl3Si3SO16 after structural relaxation. Source: the Materials Project database, functional PBE.

Properties
M_tot	0.00	μB per formula unit

```
data_Na3CaAl3Si3SO16
_chemical_formula_sum 'Na3 Ca1 Al3 Si3 S1 O16'
_cell_length_a 7.811
_cell_length_b 7.824
_cell_length_c 7.839
_cell_angle_alpha 110.83
_cell_angle_beta 108.33
_cell_angle_gamma 109.12
_space_group_name_H-M_alt 'P 1'
_space_group_IT_number 1
loop_
_space_group_symop_operation_xyz
'x,y,z'
loop_
_atom_site_label
_atom_site_type_symbol
_atom_site_fract_x
_atom_site_fract_y
_atom_site_fract_z
_atom_site_occupancy
Na1 Na 0.000 0.000 0.000 1
Na2 Na 0.254 0.632 0.636 1
Na3 Na 0.633 0.262 0.638 1
Ca1 Ca 0.626 0.667 0.290 1
Al1 Al 0.375 0.885 0.135 1
Al2 Al 0.381 0.133 0.884 1
Al3 Al 0.880 0.143 0.396 1
Si1 Si 0.127 0.382 0.893 1
Si2 Si 0.132 0.890 0.386 1
Si3 Si 0.880 0.392 0.143 1
S1 S 0.628 0.630 0.631 1
O1 O 0.041 0.641 0.333 1
O2 O 0.042 0.346 0.659 1
O3 O 0.200 0.921 0.220 1
O4 O 0.212 0.227 0.927 1
O5 O 0.321 0.621 0.058 1
O6 O 0.327 0.043 0.622 1
O7 O 0.341 0.928 0.929 1
O8 O 0.430 0.453 0.436 1
O9 O 0.626 0.018 0.345 1
O10 O 0.632 0.626 0.820 1
O11 O 0.643 0.355 0.058 1
O12 O 0.644 0.832 0.644 1
O13 O 0.806 0.616 0.606 1
O14 O 0.920 0.244 0.234 1
O15 O 0.932 0.348 0.947 1
O16 O 0.935 0.932 0.357 1
```

---

Least stable: D